# Ca5Cu2N4, relaxed, DFT r²SCAN
# magnetization: 0.000 μB per formula unit
# ΔE_f: -0.81 eV/atom
# electronic total energy: -102.3 eV per formula unit
data_Ca5Cu2N4
_chemical_formula_sum 'Ca20 Cu8 N16'
_cell_length_a 7.986
_cell_length_b 7.986
_cell_length_c 12.352
_cell_angle_alpha 90.00
_cell_angle_beta 90.00
_cell_angle_gamma 90.00
_symmetry_space_group_name_H-M 'P 4/n c c'
_symmetry_Int_Tables_number 130
loop_
_symmetry_equiv_pos_as_xyz
'x,y,z'
'-x,-y,-z'
'-y+1/2,x,z'
'y+1/2,-x,-z'
'-x+1/2,-y+1/2,z'
'x+1/2,y+1/2,-z'
'y,-x+1/2,z'
'-y,x+1/2,-z'
'x+1/2,-y,-z+1/2'
'-x+1/2,y,z+1/2'
'-y,-x,-z+1/2'
'y,x,z+1/2'
'-x,y+1/2,-z+1/2'
'x,-y+1/2,z+1/2'
'y+1/2,x+1/2,-z+1/2'
'-y+1/2,-x+1/2,z+1/2'
loop_
_atom_site_label
_atom_site_type_symbol
_atom_site_fract_x
_atom_site_fract_y
_atom_site_fract_z
Ca1 Ca 0.078 0.633 0.090
Ca2 Ca 0.250 0.250 0.138
Cu1 Cu 0.092 0.592 0.750
N1 N 0.052 0.637 0.895


# KZnP, relaxed, DFT r²SCAN
# magnetization: 0.000 μB per formula unit
# ΔE_f: -0.58 eV/atom
# electronic total energy: -25.7 eV per formula unit
data_KZnP
_chemical_formula_sum 'K2 Zn2 P2'
_cell_length_a 4.0638
_cell_length_b 4.0638
_cell_length_c 10.1455
_cell_angle_alpha 90.00
_cell_angle_beta 90.00
_cell_angle_gamma 120.00
_symmetry_space_group_name_H-M 'P 63/m m c'
_symmetry_Int_Tables_number 194
_symmetry_space_group_name_Hall '-P 6c 2c'
loop_
_atom_site_label
_atom_site_type_symbol
_atom_site_fract_x
_atom_site_fract_y
_atom_site_fract_z
K1 K 0.0000 0.0000 0.0000
Zn1 Zn 0.3333 0.6667 0.2500
P1 P 0.3333 0.6667 0.7500


# PrLuSe3, relaxed, DFT r²SCAN
# magnetization: 0.000 μB per formula unit
# ΔE_f: -2.19 eV/atom
# electronic total energy: -121.4 eV per formula unit
data_PrLuSe3
_chemical_formula_sum 'Pr4 Lu4 Se12'
_cell_length_a 4.033
_cell_length_b 13.097
_cell_length_c 9.948
_cell_angle_alpha 90.00
_cell_angle_beta 90.00
_cell_angle_gamma 90.00
_symmetry_space_group_name_H-M 'C m c m'
_symmetry_Int_Tables_number 63
_symmetry_space_group_name_Hall '-C 2c 2'
loop_
_atom_site_label
_atom_site_type_symbol
_atom_site_fract_x
_atom_site_fract_y
_atom_site_fract_z
Pr1 Pr 0.000 0.248 0.250
Lu1 Lu 0.000 0.500 0.000
Se1 Se 0.000 0.142 0.561
Se2 Se 0.000 0.416 0.750


# SrAs2Rh2, relaxed, DFT r²SCAN
# magnetization: 0.000 μB per formula unit
# ΔE_f: -0.88 eV/atom
# electronic total energy: -97.3 eV per formula unit
data_SrAs2Rh2
_chemical_formula_sum 'Sr2 As4 Rh4'
_cell_length_a 5.703
_cell_length_b 5.703
_cell_length_c 6.770
_cell_angle_alpha 90.00
_cell_angle_beta 114.66
_cell_angle_gamma 90.00
_symmetry_space_group_name_H-M 'C 1 2/m 1'
_symmetry_Int_Tables_number 12
_symmetry_space_group_name_Hall '-C 2y'
loop_
_atom_site_label
_atom_site_type_symbol
_atom_site_fract_x
_atom_site_fract_y
_atom_site_fract_z
Sr1 Sr 0.000 0.000 0.000
As1 As 0.139 0.500 0.274
Rh1 Rh 0.000 0.250 0.500


# ErSi, relaxed, DFT r²SCAN
# magnetization: 0.000 μB per formula unit
# ΔE_f: -0.89 eV/atom
# electronic total energy: -44.5 eV per formula unit
data_ErSi
_chemical_formula_sum 'Er4 Si4'
_cell_length_a 7.802
_cell_length_b 3.789
_cell_length_c 5.625
_cell_angle_alpha 90.00
_cell_angle_beta 90.00
_cell_angle_gamma 90.00
_symmetry_space_group_name_H-M 'P n m a'
_symmetry_Int_Tables_number 62
_symmetry_space_group_name_Hall '-P 2ac 2n'
loop_
_atom_site_label
_atom_site_type_symbol
_atom_site_fract_x
_atom_site_fract_y
_atom_site_fract_z
Er1 Er 0.179 0.250 0.115
Si1 Si 0.038 0.250 0.630


# Be2IrPd, relaxed, DFT r²SCAN
# magnetization: 0.000 μB per formula unit
# ΔE_f: -0.63 eV/atom
# electronic total energy: -86.5 eV per formula unit
data_Be2IrPd
_chemical_formula_sum 'Be8 Ir4 Pd4'
_cell_length_a 5.592
_cell_length_b 5.592
_cell_length_c 5.592
_cell_angle_alpha 90.00
_cell_angle_beta 90.00
_cell_angle_gamma 90.00
_symmetry_space_group_name_H-M 'F m -3 m'
_symmetry_Int_Tables_number 225
_symmetry_space_group_name_Hall '-F 4 2 3'
loop_
_atom_site_label
_atom_site_type_symbol
_atom_site_fract_x
_atom_site_fract_y
_atom_site_fract_z
Be1 Be 0.250 0.250 0.250
Ir1 Ir 0.000 0.000 0.000
Pd1 Pd 0.000 0.000 0.500